This record from Materials Project describes HoRhO3 after structural relaxation. The functional is meta-GGA r2SCAN.

Lattice parameters (Å, degrees): 5.203 5.740 7.550 90.00 90.00 90.00
Sites, in units of the cell vectors:
Ho (0.030, 0.416, 0.250)
Ho (0.970, 0.584, 0.750)
Ho (0.530, 0.084, 0.750)
Ho (0.470, 0.916, 0.250)
Rh (0.000, 0.000, 0.000)
Rh (0.500, 0.500, 0.000)
Rh (0.000, 0.000, 0.500)
Rh (0.500, 0.500, 0.500)
O (0.325, 0.189, 0.062)
O (0.675, 0.811, 0.938)
O (0.825, 0.311, 0.938)
O (0.675, 0.811, 0.562)
O (0.175, 0.689, 0.062)
O (0.325, 0.189, 0.438)
O (0.175, 0.689, 0.438)
O (0.825, 0.311, 0.562)
O (0.635, 0.553, 0.250)
O (0.365, 0.447, 0.750)
O (0.135, 0.947, 0.750)
O (0.865, 0.053, 0.250)

Calculated values
Formation enthalpy at 0 K: -1202 kJ/mol of formula units
Space group: No. 62
Final energy: -17.4796 eV per atom
Theoretical density: 9.30 g/cm³
M_tot: 0.00 μB per cell



This record from Materials Project describes LaAlNi after structural relaxation. The functional is meta-GGA r2SCAN.

Lattice parameters (Å, degrees): 4.196 7.160 15.881 90.00 90.00 90.00
Sites, in units of the cell vectors:
La (0.750, 0.856, 0.939)
La (0.250, 0.144, 0.061)
La (0.250, 0.644, 0.439)
La (0.750, 0.356, 0.561)
La (0.750, 0.988, 0.723)
La (0.250, 0.012, 0.277)
La (0.250, 0.512, 0.223)
La (0.750, 0.488, 0.777)
Al (0.750, 0.827, 0.145)
Al (0.250, 0.173, 0.855)
Al (0.250, 0.673, 0.645)
Al (0.750, 0.327, 0.355)
Al (0.750, 0.991, 0.440)
Al (0.250, 0.009, 0.560)
Al (0.250, 0.509, 0.940)
Al (0.750, 0.491, 0.060)
Ni (0.750, 0.800, 0.573)
Ni (0.250, 0.200, 0.427)
Ni (0.250, 0.700, 0.073)
Ni (0.750, 0.300, 0.927)
Ni (0.750, 0.730, 0.320)
Ni (0.250, 0.270, 0.680)
Ni (0.250, 0.770, 0.820)
Ni (0.750, 0.230, 0.180)

Calculated values
Formation enthalpy at 0 K: -149 kJ/mol of formula units
Space group: No. 62
Final energy: -16.6686 eV per atom
Theoretical density: 6.25 g/cm³
M_tot: 0.00 μB per cell



This record from Materials Project describes Ca2Ga7Au after structural relaxation. The functional is meta-GGA r2SCAN.

Lattice parameters (Å, degrees): 4.193 4.193 11.220 90.00 90.00 90.00
Sites, in units of the cell vectors:
Ca (0.000, 0.000, 0.998)
Ca (0.500, 0.500, 0.500)
Ga (0.000, 0.500, 0.253)
Ga (0.500, 0.000, 0.748)
Ga (0.500, 0.000, 0.253)
Ga (0.000, 0.500, 0.748)
Ga (0.000, 0.000, 0.611)
Ga (0.000, 0.000, 0.392)
Ga (0.500, 0.500, 0.886)
Au (0.500, 0.500, 0.111)

Calculated values
Formation enthalpy at 0 K: -484 kJ/mol of formula units
Space group: No. 99
Final energy: -14.9781 eV per atom
Theoretical density: 6.44 g/cm³
M_tot: 0.00 μB per cell



This record from Materials Project describes PrHoMg2 after structural relaxation. The functional is meta-GGA r2SCAN.

Lattice parameters (Å, degrees): 5.433 5.433 5.433 60.00 60.00 60.00
Sites, in units of the cell vectors:
Pr (0.750, 0.750, 0.750)
Ho (0.250, 0.250, 0.250)
Mg (0.000, 0.000, 0.000)
Mg (0.500, 0.500, 0.500)

Calculated values
Formation enthalpy at 0 K: -37 kJ/mol of formula units
Space group: No. 225
Final energy: -17.7530 eV per atom
Theoretical density: 5.19 g/cm³
M_tot: 0.00 μB per cell



This record from Materials Project describes K3Ba3Li2Al4B6O20F after structural relaxation. The functional is meta-GGA r2SCAN.

Lattice parameters (Å, degrees): 8.775 8.775 16.447 90.00 90.00 120.00
Sites, in units of the cell vectors:
K (0.000, 0.294, 0.500)
K (0.706, 0.706, 0.500)
K (0.294, 0.000, 0.500)
K (0.000, 0.294, 0.000)
K (0.706, 0.706, 0.000)
K (0.294, 0.000, 0.000)
Ba (0.988, 0.305, 0.250)
Ba (0.695, 0.683, 0.250)
Ba (0.317, 0.012, 0.250)
Ba (0.305, 0.988, 0.750)
Ba (0.683, 0.695, 0.750)
Ba (0.012, 0.317, 0.750)
Li (0.000, 0.000, 0.111)
Li (0.000, 0.000, 0.389)
Li (0.000, 0.000, 0.611)
Li (0.000, 0.000, 0.889)
Al (0.667, 0.333, 0.104)
Al (0.667, 0.333, 0.396)
Al (0.333, 0.667, 0.604)
Al (0.333, 0.667, 0.896)
Al (0.333, 0.667, 0.104)
Al (0.333, 0.667, 0.396)
Al (0.667, 0.333, 0.604)
Al (0.667, 0.333, 0.896)
B (0.651, 0.994, 0.141)
B (0.006, 0.657, 0.141)
B (0.343, 0.349, 0.141)
B (0.651, 0.994, 0.359)
B (0.006, 0.657, 0.359)
B (0.343, 0.349, 0.359)
B (0.994, 0.651, 0.641)
B (0.657, 0.006, 0.641)
B (0.349, 0.343, 0.641)
B (0.994, 0.651, 0.859)
B (0.657, 0.006, 0.859)
B (0.349, 0.343, 0.859)
O (0.469, 0.882, 0.141)
O (0.118, 0.587, 0.141)
O (0.413, 0.531, 0.141)
O (0.469, 0.882, 0.359)
O (0.118, 0.587, 0.359)
O (0.413, 0.531, 0.359)
O (0.882, 0.469, 0.641)
O (0.587, 0.118, 0.641)
O (0.531, 0.413, 0.641)
O (0.882, 0.469, 0.859)
O (0.587, 0.118, 0.859)
O (0.531, 0.413, 0.859)
O (0.709, 0.174, 0.143)
O (0.826, 0.535, 0.143)
O (0.465, 0.291, 0.143)
O (0.709, 0.174, 0.357)
O (0.826, 0.535, 0.357)
O (0.465, 0.291, 0.357)
O (0.174, 0.709, 0.643)
O (0.535, 0.826, 0.643)
O (0.291, 0.465, 0.643)
O (0.174, 0.709, 0.857)
O (0.535, 0.826, 0.857)
O (0.291, 0.465, 0.857)
O (0.333, 0.667, 0.000)
O (0.333, 0.667, 0.500)
O (0.667, 0.333, 0.500)
O (0.667, 0.333, 0.000)
O (0.767, 0.937, 0.144)
O (0.063, 0.830, 0.144)
O (0.170, 0.233, 0.144)
O (0.767, 0.937, 0.356)
O (0.063, 0.830, 0.356)
O (0.170, 0.233, 0.356)
O (0.937, 0.767, 0.644)
O (0.830, 0.063, 0.644)
O (0.233, 0.170, 0.644)
O (0.937, 0.767, 0.856)
O (0.830, 0.063, 0.856)
O (0.233, 0.170, 0.856)
F (0.000, 0.000, 0.000)
F (0.000, 0.000, 0.500)

Calculated values
Formation enthalpy at 0 K: -10999 kJ/mol of formula units
Space group: No. 190
Final energy: -10.5104 eV per atom
Theoretical density: 3.19 g/cm³
M_tot: 0.00 μB per cell



This record from Materials Project describes Tm2NiSn6 after structural relaxation. The functional is meta-GGA r2SCAN.

Lattice parameters (Å, degrees): 11.481 11.481 4.359 90.00 90.00 158.34
Sites, in units of the cell vectors:
Tm (0.177, 0.823, 0.000)
Tm (0.823, 0.177, 0.000)
Ni (0.500, 0.500, 0.500)
Sn (0.430, 0.570, 0.000)
Sn (0.570, 0.430, 0.000)
Sn (0.070, 0.930, 0.500)
Sn (0.930, 0.070, 0.500)
Sn (0.706, 0.294, 0.500)
Sn (0.294, 0.706, 0.500)

Calculated values
Formation enthalpy at 0 K: -384 kJ/mol of formula units
Space group: No. 65
Final energy: -26.0758 eV per atom
Theoretical density: 8.68 g/cm³
M_tot: 0.00 μB per cell